## BaPrDySnO6 (PBE-GGA)

Data for crystalline BaPrDySnO6 at its relaxed geometry.

energy of formation = -3.0538 eV/atom
space-group type = No. 216
E (MP2020) = -75.5 eV per cell
crystal system = cubic
calculated density = 7.10 g cm⁻³
total magnetic moment = 0.00 μB/cell
uncorrected energy = -7.142 eV/atom

```
BaPrDySnO6
1.0
0.000 4.248 4.248
4.248 0.000 4.248
4.248 4.248 0.000
Ba Pr Dy Sn O
1 1 1 1 6
Direct
0.000 0.000 0.000 Ba
0.500 0.500 0.500 Pr
0.750 0.750 0.750 Dy
0.250 0.250 0.250 Sn
0.008 0.008 0.492 O
0.008 0.492 0.008 O
0.008 0.492 0.492 O
0.492 0.008 0.008 O
0.492 0.008 0.492 O
0.492 0.492 0.008 O
```

***

## BaPrDyTiO6 (PBE-GGA)

Data for crystalline BaPrDyTiO6 at its relaxed geometry.

energy of formation = -3.5046 eV/atom
space-group type = No. 216
E (MP2020) = -83.9 eV per cell
crystal system = cubic
calculated density = 6.69 g cm⁻³
total magnetic moment = 0.00 μB/cell
uncorrected energy = -7.981 eV/atom

```
BaPrDyTiO6
1.0
0.000 4.171 4.171
4.171 0.000 4.171
4.171 4.171 0.000
Ba Pr Dy Ti O
1 1 1 1 6
Direct
0.000 0.000 0.000 Ba
0.500 0.500 0.500 Pr
0.250 0.250 0.250 Dy
0.750 0.750 0.750 Ti
0.514 0.514 0.986 O
0.514 0.986 0.514 O
0.514 0.986 0.986 O
0.986 0.514 0.514 O
0.986 0.514 0.986 O
0.986 0.986 0.514 O
```

***

## Ba3DyRu2O9 (PBE-GGA)

Data for crystalline Ba3DyRu2O9 at its relaxed geometry.

energy of formation = -2.6338 eV/atom
space-group type = No. 194
E (MP2020) = -225.9 eV per cell
crystal system = hexagonal
calculated density = 6.81 g cm⁻³
total magnetic moment = 5.90 μB/cell
uncorrected energy = -7.118 eV/atom

```
Ba3DyRu2O9
1.0
5.959 0.000 0.000
-2.979 5.160 0.000
0.000 0.000 14.599
Ba Dy Ru O
6 2 4 18
Direct
0.000 0.000 0.250 Ba
0.000 0.000 0.750 Ba
0.333 0.667 0.095 Ba
0.333 0.667 0.405 Ba
0.667 0.333 0.595 Ba
0.667 0.333 0.905 Ba
0.000 0.000 0.000 Dy
0.000 0.000 0.500 Dy
0.333 0.667 0.664 Ru
0.333 0.667 0.836 Ru
0.667 0.333 0.164 Ru
0.667 0.333 0.336 Ru
0.019 0.510 0.750 O
0.176 0.352 0.588 O
0.176 0.352 0.912 O
0.176 0.824 0.588 O
0.176 0.824 0.912 O
0.352 0.176 0.088 O
0.352 0.176 0.412 O
0.490 0.510 0.750 O
0.490 0.981 0.750 O
0.510 0.019 0.250 O
0.510 0.490 0.250 O
0.648 0.824 0.588 O
0.648 0.824 0.912 O
0.824 0.176 0.088 O
0.824 0.176 0.412 O
0.824 0.648 0.088 O
0.824 0.648 0.412 O
0.981 0.490 0.250 O
```

***

## BaDySnSbO6 (PBE-GGA)

Data for crystalline BaDySnSbO6 at its relaxed geometry.

energy of formation = -2.6318 eV/atom
space-group type = No. 118
E (MP2020) = -141.3 eV per cell
crystal system = tetragonal
calculated density = 7.04 g cm⁻³
total magnetic moment = 0.00 μB/cell
uncorrected energy = -6.655 eV/atom

```
BaDySnSbO6
1.0
5.932 0.000 0.000
0.000 5.932 0.000
0.000 0.000 8.531
Ba Dy Sn Sb O
2 2 2 2 12
Direct
0.000 0.500 0.250 Ba
0.500 0.000 0.750 Ba
0.000 0.000 0.000 Dy
0.500 0.500 0.500 Dy
0.000 0.500 0.750 Sn
0.500 0.000 0.250 Sn
0.000 0.000 0.500 Sb
0.500 0.500 0.000 Sb
0.000 0.000 0.263 O
0.000 0.000 0.737 O
0.189 0.282 0.512 O
0.218 0.311 0.988 O
0.282 0.811 0.488 O
0.311 0.782 0.012 O
0.500 0.500 0.237 O
0.500 0.500 0.763 O
0.689 0.218 0.012 O
0.718 0.189 0.488 O
0.782 0.689 0.988 O
0.811 0.718 0.512 O
```